Arrangement one

Material: PmTm3
Method: DFT, PBE
State: optimized geometry

Geometry as POSCAR:
```
PmTm3
1.0
3.5940 -6.2250 0.0000
3.5940 6.2250 0.0000
0.0000 0.0000 5.6574
Tm Pm
6 2
Cartesian
5.4121 1.0253 1.4143
1.7759 1.0253 1.4143
1.7759 -1.0253 4.2430
3.5940 -4.1743 4.2430
3.5940 4.1743 1.4143
5.4121 -1.0253 4.2430
3.5940 2.0750 4.2430
3.5940 -2.0750 1.4143
```

Values from the calculation:
Space-group type: P6_3/mmc

Arrangement two

Material: PmTm3
Method: DFT, PBE
State: optimized geometry

Geometry as POSCAR:
```
PmTm3
1.0
4.9834 0.0000 0.0000
0.0000 4.9834 0.0000
0.0000 0.0000 4.9834
Tm Pm
3 1
Cartesian
0.0000 2.4917 2.4917
2.4917 0.0000 2.4917
2.4917 2.4917 0.0000
0.0000 0.0000 0.0000
```

Values from the calculation:
Space-group type: Pm-3m

It is arrangement one that is most stable; the runner-up trails by 0.017 eV/atom.

Arrangement one

Material: Pm3Zr
Method: DFT, PBE
State: optimized geometry

Geometry as POSCAR:
```
Pm3Zr
1.0
1.6616 4.6350 -5.1201
-6.7805 -1.8235 1.0763
-0.5716 4.3291 3.7334
Pm Zr
6 2
Cartesian
-4.6675 2.6137 -1.5352
-2.1884 1.2521 0.4232
-3.5021 5.8884 -0.7337
-1.0230 4.5269 1.2248
-5.4723 0.3689 0.9445
-0.2183 6.7716 -1.2549
-4.3952 3.5761 1.8109
-1.2953 3.5644 -2.1213
```

Values from the calculation:
Space-group type: P6_3/mmc
Total magnetization, μB/cell: 0.02

Arrangement two

Material: Pm3Zr
Method: DFT, PBE
State: optimized geometry

Geometry as POSCAR:
```
Pm3Zr
1.0
2.3273 -3.5453 -4.3751
3.7860 -4.0615 2.5095
-5.7406 1.5485 1.3324
Pm Zr
3 1
Cartesian
3.0566 -3.8034 -0.9328
-0.1783 -2.9001 -1.9878
0.5510 -3.1582 1.4545
0.0000 0.0000 0.0000
```

Values from the calculation:
Space-group type: I4/mmm
Total magnetization, μB/cell: 0.00

It is arrangement one that is most stable; the runner-up trails by 0.006 eV/atom.

Arrangement one

Material: PrSm3
Method: DFT, PBE
State: optimized geometry

Geometry as POSCAR:
```
PrSm3
1.0
3.6674 -6.3521 0.0000
3.6674 6.3521 0.0000
0.0000 0.0000 6.0044
Pr Sm
2 6
Cartesian
3.6674 2.1174 4.5033
3.6674 -2.1174 1.5011
1.8269 1.0548 1.5011
3.6674 -4.2426 4.5033
5.5079 -1.0548 4.5033
1.8269 -1.0548 4.5033
5.5079 1.0548 1.5011
3.6674 4.2426 1.5011
```

Values from the calculation:
Space-group type: P6_3/mmc

Arrangement two

Material: PrSm3
Method: DFT, PBE
State: optimized geometry

Geometry as POSCAR:
```
PrSm3
1.0
5.1698 0.0000 0.0000
0.0000 5.1698 0.0000
0.0000 0.0000 5.1698
Pr Sm
1 3
Cartesian
0.0000 0.0000 0.0000
0.0000 2.5849 2.5849
2.5849 2.5849 0.0000
2.5849 0.0000 2.5849
```

Values from the calculation:
Space-group type: Pm-3m

It is arrangement two that is most stable; the runner-up trails by 0.019 eV/atom.

Arrangement one

Material: Tb3Pr
Method: DFT, PBE
State: optimized geometry

Geometry as POSCAR:
```
Tb3Pr
1.0
1.8255 -3.1618 0.0000
1.8255 3.1618 0.0000
0.0000 0.0000 11.6639
Tb Pr
3 1
Cartesian
0.0000 0.0000 8.6861
1.8255 1.0539 5.8320
0.0000 0.0000 2.9779
1.8255 1.0539 0.0000
```

Values from the calculation:
Space-group type: P-6m2

Arrangement two

Material: Tb3Pr
Method: DFT, PBE
State: optimized geometry

Geometry as POSCAR:
```
Tb3Pr
1.0
-2.5537 2.5537 5.0785
2.5537 -2.5537 5.0785
2.5537 2.5537 -5.0785
Tb Pr
3 1
Cartesian
0.0000 0.0000 5.0785
2.5537 0.0000 2.5393
0.0000 2.5537 2.5393
0.0000 0.0000 0.0000
```

Values from the calculation:
Space-group type: I4/mmm

It is arrangement two that is most stable; the runner-up trails by 0.011 eV/atom.

Arrangement one

Material: PrTm3
Method: DFT, PBE
State: optimized geometry

Geometry as POSCAR:
```
PrTm3
1.0
-2.5144 2.5144 4.9979
2.5144 -2.5144 4.9979
2.5144 2.5144 -4.9979
Tm Pr
3 1
Cartesian
0.0000 2.5144 2.4990
0.0000 0.0000 4.9979
2.5144 0.0000 2.4990
0.0000 0.0000 0.0000
```

Values from the calculation:
Space-group type: I4/mmm

Arrangement two

Material: PrTm3
Method: DFT, PBE
State: optimized geometry

Geometry as POSCAR:
```
PrTm3
1.0
3.6081 -6.2494 0.0000
3.6081 6.2494 0.0000
0.0000 0.0000 5.6711
Tm Pr
6 2
Cartesian
3.6081 -4.1943 4.2533
1.7797 1.0275 1.4178
5.4364 -1.0275 4.2533
5.4364 1.0275 1.4178
1.7797 -1.0275 4.2533
3.6081 4.1943 1.4178
3.6081 2.0831 4.2533
3.6081 -2.0831 1.4178
```

Values from the calculation:
Space-group type: P6_3/mmc

It is arrangement two that is most stable; the runner-up trails by 0.020 eV/atom.

Arrangement one

Material: PrY3
Method: DFT, PBE
State: optimized geometry

Geometry as POSCAR:
```
PrY3
1.0
-0.0773 6.3002 3.7721
-2.5833 -6.1501 3.0708
5.3112 -1.1868 2.0911
Y Pr
6 2
Cartesian
3.5303 0.1773 3.3250
2.1907 0.2529 6.7706
0.4600 -1.2896 2.1634
3.4914 3.3497 5.2243
-0.8797 -1.2141 5.6090
-0.8407 -4.3864 3.7097
2.2355 -2.8901 4.8729
0.4152 1.8534 4.0611
```

Values from the calculation:
Space-group type: P6_3/mmc

Arrangement two

Material: PrY3
Method: DFT, PBE
State: optimized geometry

Geometry as POSCAR:
```
PrY3
1.0
4.3384 -3.8749 2.3160
-2.1212 -2.5437 5.3132
-2.5476 0.4714 -5.6998
Y Pr
3 1
Cartesian
1.4497 -3.3063 0.2154
-1.7800 -2.6408 1.7140
1.1086 -3.2093 3.8146
0.0000 0.0000 0.0000
```

Values from the calculation:
Space-group type: I4/mmm

It is arrangement one that is most stable; the runner-up trails by 0.009 eV/atom.

Arrangement one

Material: Pr3Y
Method: DFT, PBE
State: optimized geometry

Geometry as POSCAR:
```
Pr3Y
1.0
-0.8764 -0.1714 -7.3773
-5.7123 -1.6443 4.4595
-1.6119 5.7566 0.0577
Pr Y
6 2
Cartesian
-5.7410 3.0802 -3.1322
-5.3068 0.0411 2.4948
-2.4571 3.9852 -1.6780
-2.4597 0.8606 0.2722
-2.8940 3.8997 -5.3549
-5.7436 -0.0443 -1.1820
-5.3093 3.1641 0.5572
-2.8914 0.7768 -3.4173
```

Values from the calculation:
Space-group type: P6_3/mmc

Arrangement two

Material: Pr3Y
Method: DFT, PBE
State: optimized geometry

Geometry as POSCAR:
```
Pr3Y
1.0
-2.6038 2.6038 5.2250
2.6038 -2.6038 5.2250
2.6038 2.6038 -5.2250
Pr Y
3 1
Cartesian
0.0000 0.0000 5.2250
0.0000 2.6038 2.6125
2.6038 0.0000 2.6125
0.0000 0.0000 0.0000
```

Values from the calculation:
Space-group type: I4/mmm

Arrangement three

Material: Pr3Y
Method: DFT, PBE
State: optimized geometry

Geometry as POSCAR:
```
Pr3Y
1.0
-2.4237 1.6643 4.2974
0.3931 -4.7631 2.0663
4.5916 1.2862 2.0915
Pr Y
3 1
Cartesian
2.4924 -1.7385 2.0789
1.0840 1.4753 3.1944
-1.0153 -1.5494 3.1819
0.0000 0.0000 0.0000
```

Values from the calculation:
Space-group type: Pm-3m

It is arrangement three that is most stable; the runner-up trails by 0.010 eV/atom.

Arrangement one

Material: Pt
Method: DFT, PBE
State: optimized geometry

Geometry as POSCAR:
```
Pt
1.0
-1.9884 -1.9884 0.0000
-1.9884 0.0000 -1.9884
0.0000 -1.9884 -1.9884
Pt
1
Cartesian
0.0000 0.0000 0.0000
```

Values from the calculation:
Space-group type: Fm-3m

Arrangement two

Material: Pt
Method: DFT, PBE
State: optimized geometry

Geometry as POSCAR:
```
Pt
1.0
-1.5152 2.1821 -0.7509
0.9839 -1.7234 -1.9191
-3.9800 -2.6477 0.3371
Pt
2
Cartesian
0.0000 0.0000 0.0000
-2.6722 -0.4436 -0.9717
```

Values from the calculation:
Space-group type: P6_3/mmc
Total magnetization, μB/cell: 0.00

Arrangement three

Material: Pt
Method: DFT, PBE
State: optimized geometry

Geometry as POSCAR:
```
Pt
1.0
-1.0050 1.7876 1.8232
-1.9096 -0.5469 -1.8930
0.7040 -2.3196 1.2858
Pt
1
Cartesian
0.0000 0.0000 0.0000
```

Values from the calculation:
Space-group type: Im-3m
Total magnetization, μB/cell: 0.00

It is arrangement one that is most stable; the runner-up trails by 0.069 eV/atom.

Arrangement one

Material: RePt
Method: DFT, PBE
State: optimized geometry

Geometry as POSCAR:
```
RePt
1.0
1.3972 -2.4200 0.0000
1.3972 2.4200 0.0000
0.0000 0.0000 4.5011
Pt Re
1 1
Cartesian
1.3972 0.8067 2.2506
0.0000 0.0000 0.0000
```

Values from the calculation:
Space-group type: P-6m2
Total magnetization, μB/cell: 0.00

Arrangement two

Material: RePt
Method: DFT, PBE
State: optimized geometry

Geometry as POSCAR:
```
RePt
1.0
4.6422 -1.3862 0.0000
4.6422 1.3862 0.0000
4.2283 0.0000 2.3650
Re Pt
1 1
Cartesian
6.7564 0.0000 1.1825
0.0000 0.0000 0.0000
```

Values from the calculation:
Space-group type: R-3m
Total magnetization, μB/cell: 0.00

It is arrangement one that is most stable; the runner-up trails by 0.020 eV/atom.

Arrangement one

Material: Te4Pt3
Method: DFT, PBE
State: optimized geometry

Geometry as POSCAR:
```
Te4Pt3
1.0
12.1942 -2.0247 0.0000
12.1942 2.0247 0.0000
11.8580 0.0000 3.4908
Te Pt
4 3
Cartesian
28.8318 0.0000 2.7767
1.9457 0.0000 0.1874
34.3006 0.0000 3.3034
7.4145 0.0000 0.7141
12.8189 0.0000 1.2346
18.1232 0.0000 1.7454
23.4274 0.0000 2.2562
```

Values from the calculation:
Space-group type: R-3m

Arrangement two

Material: Te4Pt3
Method: DFT, PBE
State: optimized geometry

Geometry as POSCAR:
```
Te4Pt3
1.0
4.0570 -6.7303 2.7642
6.1602 -5.4731 -1.2224
5.1827 3.6361 3.8809
Pt Te
3 4
Cartesian
2.1674 0.7414 1.3772
0.0000 0.0000 0.0000
13.2325 -9.3086 4.0454
13.5995 -6.7789 5.0368
1.8004 -1.7883 0.3859
7.9191 -6.2367 2.2110
7.4808 -2.3304 3.2117
```

Values from the calculation:
Space-group type: C2/m
Total magnetization, μB/cell: 0.00

Arrangement three

Material: Te4Pt3
Method: DFT, PBE
State: optimized geometry

Geometry as POSCAR:
```
Te4Pt3
1.0
-4.2632 1.7378 5.2431
-0.3467 -1.5907 6.7849
3.6151 5.5083 2.7084
Te Pt
4 3
Cartesian
0.4271 3.8089 7.1379
-3.6299 0.1946 9.6411
2.6352 5.4609 5.0953
-1.4219 1.8466 7.5985
0.8892 1.8377 1.7084
0.0000 0.0000 0.0000
-1.8840 3.8178 13.0280
```

Values from the calculation:
Space-group type: C2/m
Total magnetization, μB/cell: 0.00

It is arrangement one that is most stable; the runner-up trails by 0.574 eV/atom.

Arrangement one

Material: Pu
Method: DFT, PBE
State: optimized geometry

Geometry as POSCAR:
```
Pu
1.0
-0.0187 0.1984 3.5222
4.5353 -0.2736 -0.0144
1.9700 4.3753 0.2461
Pu
4
Cartesian
4.3003 0.9870 2.0990
2.1865 3.3136 1.6561
4.4708 3.1387 0.6778
2.0157 1.1609 3.0750
```

Values from the calculation:
Space-group type: P-1
Total magnetization, μB/cell: 0.00

Arrangement two

Material: Pu
Method: DFT, PBE
State: optimized geometry

Geometry as POSCAR:
```
Pu
1.0
1.9327 -2.6934 -0.6889
-1.0384 -3.0994 0.8834
-0.9590 -2.2072 -2.3819
Pu
1
Cartesian
0.0000 0.0000 0.0000
```

Values from the calculation:
Space-group type: Fm-3m
Total magnetization, μB/cell: 5.88

Arrangement three

Material: Pu
Method: DFT, PBE
State: optimized geometry

Geometry as POSCAR:
```
Pu
1.0
-1.5442 0.0760 -5.9207
-0.6478 -5.1346 3.2652
-4.8189 1.4188 1.2751
Pu
8
Cartesian
-1.8323 -1.3852 -0.1171
-2.8155 -4.3186 -0.5690
-2.4501 -1.3061 -2.5400
-1.8061 -3.4252 2.2521
-5.1786 -2.2546 -1.2633
-4.1954 0.6789 -0.8114
-4.5608 -2.3336 1.1595
-5.2048 -0.2145 -3.6326
```

Values from the calculation:
Space-group type: P6_3/m

It is arrangement one that is most stable; the runner-up trails by 0.018 eV/atom.